The following is a PBE calculation of a relaxed GdN crystal, from Materials Project.

Geometry as POSCAR:
```
GdN
1.0
-2.494 -2.494 0.000
-2.494 0.000 -2.494
0.000 -2.494 -2.494
N Gd
1 1
direct
0.500 0.500 0.500 N
0.000 0.000 0.000 Gd
```

ρ ... 9.2 g/cm³
E ... -25.57 eV/f.u.
Formation enthalpy at 0 K ... -1.7589 eV/atom